(1)
{"formula": "Sr3GeO", "functional": "PBE", "state": "relaxed", "lattice_angstrom": [[-3.0065, -6.4732, -0.9142], [-0.7308, -0.6684, 7.1362], [-9.1949, 4.3462, -0.5346]], "species": ["Sr", "Sr", "Sr", "Sr", "Sr", "Sr", "Sr", "Sr", "Sr", "Sr", "Sr", "Sr", "Ge", "Ge", "Ge", "Ge", "O", "O", "O", "O"], "frac_coords": [[0.2221, 0.7775, 0.9685], [0.2779, 0.2775, 0.5315], [0.7221, 0.7225, 0.0315], [0.7779, 0.2225, 0.4685], [0.2221, 0.7775, 0.5315], [0.2779, 0.2775, 0.9685], [0.7221, 0.7225, 0.4685], [0.7779, 0.2225, 0.0315], [0.9393, 0.4914, 0.7500], [0.5607, 0.9914, 0.7500], [0.4393, 0.0086, 0.2500], [0.0607, 0.5086, 0.2500], [0.0051, 0.0208, 0.7500], [0.4949, 0.5208, 0.7500], [0.5051, 0.4792, 0.2500], [0.9949, 0.9792, 0.2500], [0.5000, 0.0000, 0.5000], [0.0000, 0.5000, 0.0000], [0.0000, 0.5000, 0.5000], [0.5000, 0.0000, 0.0000]], "spacegroup": "No. 62", "total_energy_ev_per_cell": -87.03, "formation_enthalpy_0k_ev_per_atom": -1.561, "energy_mp2020_ev_per_atom": -4.49}

=====

(2)
{"formula": "TmScZn2", "functional": "PBE", "state": "relaxed", "lattice_angstrom": [[3.0602, 2.5857, 2.7722], [-1.3405, 1.3763, 4.4771], [2.0751, -2.0498, 3.9022]], "species": ["Tm", "Sc", "Zn", "Zn"], "frac_coords": [[0.0000, 0.0000, 0.0000], [0.5000, 0.5000, 0.5000], [0.2500, 0.2500, 0.2500], [0.7500, 0.7500, 0.7500]], "spacegroup": "No. 225", "total_energy_ev_per_cell": -14.77, "formation_enthalpy_0k_ev_per_atom": -0.361}

=====

(3)
{"formula": "CaRe2C5N10O13", "functional": "PBE", "state": "relaxed", "lattice_angstrom": [[-8.7584, 0.0000, 0.0000], [0.7301, 10.0758, 0.0000], [-0.0901, -4.0246, -14.5416]], "species": ["Ca", "Ca", "Re", "Re", "Re", "Re", "C", "C", "C", "C", "C", "C", "C", "C", "C", "C", "N", "N", "N", "N", "N", "N", "N", "N", "N", "N", "N", "N", "N", "N", "N", "N", "N", "N", "N", "N", "O", "O", "O", "O", "O", "O", "O", "O", "O", "O", "O", "O", "O", "O", "O", "O", "O", "O", "O", "O", "O", "O", "O", "O", "O", "O"], "frac_coords": [[0.8876, 0.3679, 0.2135], [0.1124, 0.6321, 0.7865], [0.4896, 0.4376, 0.1566], [0.5104, 0.5624, 0.8434], [0.6783, 0.8680, 0.3846], [0.3217, 0.1320, 0.6154], [0.1381, 0.1649, 0.2907], [0.8619, 0.8351, 0.7093], [0.9997, 0.2940, 0.9858], [0.0003, 0.7060, 0.0142], [0.7332, 0.4129, 0.4240], [0.2668, 0.5871, 0.5760], [0.6857, 0.0532, 0.1324], [0.3143, 0.9468, 0.8676], [0.0912, 0.6635, 0.3172], [0.9088, 0.3365, 0.6828], [0.1385, 0.0345, 0.3025], [0.8615, 0.9655, 0.6975], [0.2690, 0.1136, 0.3134], [0.7310, 0.8864, 0.6866], [0.9370, 0.3286, 0.9124], [0.0630, 0.6714, 0.0876], [0.0869, 0.3090, 0.9121], [0.9131, 0.6910, 0.0879], [0.6288, 0.3197, 0.4478], [0.3712, 0.6803, 0.5522], [0.6741, 0.4355, 0.5108], [0.3259, 0.5645, 0.4892], [0.5772, 0.9460, 0.0979], [0.4228, 0.0540, 0.9021], [0.6811, 0.9785, 0.0412], [0.3189, 0.0215, 0.9588], [0.1802, 0.7832, 0.3550], [0.8198, 0.2168, 0.6450], [0.0831, 0.7336, 0.4085], [0.9169, 0.2664, 0.5915], [0.6943, 0.4315, 0.1472], [0.3057, 0.5685, 0.8528], [0.4008, 0.3084, 0.0673], [0.5992, 0.6916, 0.9327], [0.4330, 0.5964, 0.1507], [0.5670, 0.4036, 0.8493], [0.4321, 0.4072, 0.2608], [0.5679, 0.5928, 0.7392], [0.5331, 0.9513, 0.3471], [0.4669, 0.0487, 0.6529], [0.7845, 0.9857, 0.4732], [0.2155, 0.0143, 0.5268], [0.8028, 0.8044, 0.2924], [0.1972, 0.1956, 0.7076], [0.5997, 0.7298, 0.4247], [0.4003, 0.2702, 0.5753], [0.0721, 0.2554, 0.2718], [0.9279, 0.7446, 0.7282], [0.9874, 0.2699, 0.0603], [0.0126, 0.7301, 0.9397], [0.8191, 0.4468, 0.3694], [0.1809, 0.5532, 0.6306], [0.7425, 0.1461, 0.1939], [0.2575, 0.8539, 0.8061], [0.0552, 0.5651, 0.2531], [0.9448, 0.4349, 0.7469]], "spacegroup": "No. 2", "total_energy_ev_per_cell": -460.34, "formation_enthalpy_0k_ev_per_atom": -0.593, "energy_mp2020_ev_per_atom": -7.71}

=====

(4)
{"formula": "CeCuSb2", "functional": "PBE", "state": "relaxed", "lattice_angstrom": [[-1.4715, -4.0343, -0.9612], [2.1388, -1.6120, 3.4917], [-7.9715, 1.5714, 5.6084]], "species": ["Ce", "Ce", "Cu", "Cu", "Sb", "Sb", "Sb", "Sb"], "frac_coords": [[0.5000, 0.0000, 0.2456], [0.0000, 0.5000, 0.7544], [0.0000, 0.0000, 0.0000], [0.5000, 0.5000, 0.0000], [0.5000, 0.0000, 0.8421], [0.0000, 0.5000, 0.1579], [0.0000, 0.0000, 0.5000], [0.5000, 0.5000, 0.5000]], "spacegroup": "No. 129", "total_energy_ev_per_cell": -41.81, "formation_enthalpy_0k_ev_per_atom": -0.750, "energy_mp2020_ev_per_atom": -5.32}

=====

(5)
{"formula": "Mg6BiMo", "functional": "PBE", "state": "relaxed", "lattice_angstrom": [[5.0964, 0.0000, 0.0000], [0.0000, 6.2926, 0.0000], [0.0000, 0.0000, 10.6351]], "species": ["Mg", "Mg", "Mg", "Mg", "Mg", "Mg", "Mg", "Mg", "Mg", "Mg", "Mg", "Mg", "Bi", "Bi", "Mo", "Mo"], "frac_coords": [[0.0000, 0.2418, 0.0808], [0.0000, 0.7582, 0.0808], [0.0000, 0.5000, 0.8344], [0.5000, 0.2389, 0.9139], [0.5000, 0.7611, 0.9139], [0.5000, 0.5000, 0.6666], [0.0000, 0.7418, 0.5808], [0.0000, 0.2582, 0.5808], [0.0000, 0.0000, 0.3344], [0.5000, 0.7389, 0.4139], [0.5000, 0.2611, 0.4139], [0.5000, 0.0000, 0.1666], [0.5000, 0.5000, 0.1723], [0.5000, 0.0000, 0.6723], [0.0000, 0.5000, 0.3374], [0.0000, 0.0000, 0.8374]], "de_polymorph_mev_per_atom": 0.0, "total_energy_ev_per_cell": -45.95, "formation_enthalpy_0k_ev_per_atom": 0.170}

=====

(6)
{"formula": "KYP2H4O9", "functional": "PBE", "state": "relaxed", "lattice_angstrom": [[-6.8236, -7.8753, 2.1733], [5.5129, -5.2728, -1.7977], [3.4871, -0.3897, 9.5367]], "species": ["K", "K", "K", "K", "Y", "Y", "Y", "Y", "P", "P", "P", "P", "P", "P", "P", "P", "H", "H", "H", "H", "H", "H", "H", "H", "H", "H", "H", "H", "H", "H", "H", "H", "O", "O", "O", "O", "O", "O", "O", "O", "O", "O", "O", "O", "O", "O", "O", "O", "O", "O", "O", "O", "O", "O", "O", "O", "O", "O", "O", "O", "O", "O", "O", "O", "O", "O", "O", "O"], "frac_coords": [[0.7135, 0.7524, 0.6543], [0.2865, 0.2476, 0.3457], [0.2135, 0.2476, 0.8457], [0.7865, 0.7524, 0.1543], [0.1197, 0.7484, 0.8295], [0.8803, 0.2516, 0.1705], [0.6197, 0.2516, 0.6705], [0.3803, 0.7484, 0.3295], [0.3520, 0.9625, 0.6278], [0.6480, 0.0375, 0.3722], [0.8520, 0.0375, 0.8722], [0.1480, 0.9625, 0.1278], [0.3932, 0.6013, 0.6678], [0.6068, 0.3987, 0.3322], [0.8932, 0.3987, 0.8322], [0.1068, 0.6013, 0.1678], [0.0730, 0.4217, 0.6272], [0.9270, 0.5783, 0.3728], [0.5730, 0.5783, 0.8728], [0.4270, 0.4217, 0.1272], [0.1879, 0.4554, 0.5352], [0.8121, 0.5446, 0.4648], [0.6879, 0.5446, 0.9648], [0.3121, 0.4554, 0.0352], [0.1170, 0.8489, 0.5396], [0.8830, 0.1511, 0.4604], [0.6170, 0.1511, 0.9604], [0.3830, 0.8489, 0.0396], [0.9954, 0.7255, 0.5433], [0.0046, 0.2745, 0.4567], [0.4954, 0.2745, 0.9567], [0.5046, 0.7255, 0.0433], [0.3544, 0.5719, 0.5254], [0.6456, 0.4281, 0.4746], [0.8544, 0.4281, 0.9746], [0.1456, 0.5719, 0.0254], [0.2830, 0.5831, 0.7642], [0.7170, 0.4169, 0.2358], [0.7830, 0.4169, 0.7358], [0.2170, 0.5831, 0.2642], [0.1906, 0.9349, 0.9862], [0.8094, 0.0651, 0.0138], [0.6906, 0.0651, 0.5138], [0.3094, 0.9349, 0.4862], [0.2418, 0.9545, 0.7241], [0.7582, 0.0455, 0.2759], [0.7418, 0.0455, 0.7759], [0.2582, 0.9545, 0.2241], [0.9316, 0.8779, 0.8596], [0.0684, 0.1221, 0.1404], [0.4316, 0.1221, 0.6404], [0.5684, 0.8779, 0.3596], [0.1220, 0.3698, 0.5567], [0.8780, 0.6302, 0.4433], [0.6220, 0.6302, 0.9433], [0.3780, 0.3698, 0.0567], [0.0571, 0.7859, 0.5972], [0.9429, 0.2141, 0.4028], [0.5571, 0.2141, 0.9028], [0.4429, 0.7859, 0.0972], [0.0078, 0.5012, 0.7827], [0.9922, 0.4988, 0.2173], [0.5078, 0.4988, 0.7173], [0.4922, 0.5012, 0.2827], [0.4443, 0.7998, 0.6702], [0.5557, 0.2002, 0.3298], [0.9443, 0.2002, 0.8298], [0.0557, 0.7998, 0.1702]], "spacegroup": "No. 14", "total_energy_ev_per_cell": -448.81, "formation_enthalpy_0k_ev_per_atom": -2.463, "energy_mp2020_ev_per_atom": -6.96}

=====

(7)
{"formula": "W2SeS3", "functional": "PBE", "state": "relaxed", "lattice_angstrom": [[1.6106, -2.7897, 0.0000], [1.6106, 2.7897, 0.0000], [0.0000, 0.0000, 36.4012]], "species": ["W", "W", "W", "W", "Se", "Se", "S", "S", "S", "S", "S", "S"], "frac_coords": [[0.3333, 0.6667, 0.0939], [0.3333, 0.6667, 0.4697], [0.6667, 0.3333, 0.2818], [0.6667, 0.3333, 0.6576], [0.3333, 0.6667, 0.7048], [0.3333, 0.6667, 0.6103], [0.3333, 0.6667, 0.3247], [0.6667, 0.3333, 0.0510], [0.6667, 0.3333, 0.4268], [0.6667, 0.3333, 0.1368], [0.6667, 0.3333, 0.5126], [0.3333, 0.6667, 0.2389]], "spacegroup": "No. 156", "total_energy_ev_per_cell": -92.55, "formation_enthalpy_0k_ev_per_atom": -0.993, "energy_mp2020_ev_per_atom": -7.96}

=====

(8)
{"formula": "Sc2MnB2Ir5", "functional": "PBE", "state": "relaxed", "lattice_angstrom": [[-7.5852, 4.1697, -3.7303], [-4.5036, -8.2791, -0.0966], [-1.0786, 0.5539, 2.8124]], "species": ["Sc", "Sc", "Sc", "Sc", "Mn", "Mn", "B", "B", "B", "B", "Ir", "Ir", "Ir", "Ir", "Ir", "Ir", "Ir", "Ir", "Ir", "Ir"], "frac_coords": [[0.6756, 0.1756, 0.0000], [0.3244, 0.8244, 0.0000], [0.1756, 0.3244, 0.0000], [0.8244, 0.6756, 0.0000], [0.0000, 0.0000, 0.0000], [0.5000, 0.5000, 0.0000], [0.1253, 0.6253, 0.0000], [0.8747, 0.3747, 0.0000], [0.6253, 0.8747, 0.0000], [0.3747, 0.1253, 0.0000], [0.2164, 0.0708, 0.5000], [0.7836, 0.9292, 0.5000], [0.0708, 0.7836, 0.5000], [0.7164, 0.4292, 0.5000], [0.9292, 0.2164, 0.5000], [0.2836, 0.5708, 0.5000], [0.5708, 0.7164, 0.5000], [0.4292, 0.2836, 0.5000], [0.5000, 0.0000, 0.5000], [0.0000, 0.5000, 0.5000]], "spacegroup": "No. 127", "total_energy_ev_per_cell": -171.29, "formation_enthalpy_0k_ev_per_atom": -0.627}